1.
Compound: DyPt3
Source: the Materials Project database
Functional: PBE
Structure: optimized geometry

Properties
* energy relative to the elements: -4.03 eV per formula unit

Unit cell a=4.122 b=4.122 c=4.122 alpha=90.00 beta=90.00 gamma=90.00
Fractional positions:
Dy 0.000 0.000 0.000
Pt 0.000 0.500 0.500
Pt 0.500 0.000 0.500
Pt 0.500 0.500 0.000

***

2.
Compound: Dy5SbPt2
Source: the Materials Project database
Functional: PBE
Structure: optimized geometry

Properties
* energy relative to the elements: -7.93 eV per formula unit

Unit cell a=8.761 b=8.761 c=8.761 alpha=127.56 beta=127.56 gamma=77.34
Fractional positions:
Dy 0.000 0.000 0.000
Dy 0.020 0.520 0.816
Dy 0.204 0.020 0.500
Dy 0.296 0.796 0.816
Dy 0.480 0.296 0.500
Dy 0.500 0.500 0.000
Dy 0.520 0.704 0.500
Dy 0.704 0.204 0.184
Dy 0.796 0.980 0.500
Dy 0.980 0.480 0.184
Sb 0.250 0.250 0.000
Sb 0.750 0.750 0.000
Pt 0.138 0.362 0.500
Pt 0.362 0.862 0.225
Pt 0.638 0.138 0.775
Pt 0.862 0.638 0.500

***

3.
Compound: DySi2Pt2
Source: the Materials Project database
Functional: PBE
Structure: optimized geometry

Properties
* energy relative to the elements: -5.13 eV per formula unit

Unit cell a=5.758 b=5.758 c=5.758 alpha=137.28 beta=137.28 gamma=62.01
Fractional positions:
Dy 0.000 0.000 0.000
Si 0.382 0.382 0.000
Si 0.618 0.618 0.000
Pt 0.250 0.750 0.500
Pt 0.750 0.250 0.500